(1)
Material: Nd3Zn22
Method: DFT, PBE
State: optimized geometry

Lattice parameters (Å, degrees): 12.331 12.331 12.331 137.64 137.64 61.46
Element x y z (fractional)
1 Zn 0.179 0.204 0.511
2 Zn 0.418 0.943 0.989
3 Zn 0.571 0.046 0.989
4 Zn 0.154 0.507 0.647
5 Zn 0.375 0.625 0.250
6 Zn 0.112 0.462 0.350
7 Zn 0.057 0.046 0.474
8 Zn 0.778 0.002 0.776
9 Zn 0.998 0.774 0.776
10 Zn 0.513 0.362 0.150
11 Zn 0.890 0.743 0.147
12 Zn 0.226 0.002 0.224
13 Zn 0.375 0.625 0.750
14 Zn 0.257 0.404 0.147
15 Zn 0.538 0.888 0.650
16 Zn 0.875 0.625 0.250
17 Zn 0.057 0.582 0.011
18 Zn 0.237 0.888 0.350
19 Zn 0.596 0.743 0.853
20 Zn 0.796 0.821 0.489
21 Zn 0.332 0.307 0.511
22 Zn 0.796 0.307 0.974
23 Zn 0.493 0.140 0.647
24 Zn 0.332 0.821 0.026
25 Zn 0.693 0.668 0.489
26 Zn 0.752 0.476 0.724
27 Zn 0.752 0.028 0.276
28 Zn 0.860 0.507 0.353
29 Zn 0.179 0.668 0.974
30 Zn 0.954 0.429 0.011
31 Zn 0.493 0.846 0.353
32 Zn 0.972 0.248 0.724
33 Zn 0.524 0.248 0.276
34 Zn 0.257 0.110 0.853
35 Zn 0.693 0.204 0.026
36 Zn 0.571 0.582 0.526
37 Zn 0.375 0.125 0.750
38 Zn 0.954 0.943 0.526
39 Zn 0.212 0.362 0.850
40 Zn 0.998 0.222 0.224
41 Zn 0.418 0.429 0.474
42 Zn 0.638 0.788 0.150
43 Zn 0.638 0.487 0.850
44 Zn 0.112 0.763 0.650
45 Nd 0.120 0.120 0.000
46 Nd 0.500 0.500 0.000
47 Nd 0.870 0.370 0.500
48 Nd 0.880 0.880 0.000
49 Nd 0.250 0.750 0.500
50 Nd 0.630 0.130 0.500

The total energy is -1.96 eV/atom. As for the symmetry: No. 141.

(2)
Material: Sr3MgIrO6
Method: DFT, PBE
State: optimized geometry

Lattice parameters (Å, degrees): 6.750 6.750 6.750 92.28 92.28 92.28
Element x y z (fractional)
1 O 0.787 0.463 0.596
2 O 0.463 0.596 0.787
3 O 0.037 0.713 0.904
4 O 0.713 0.904 0.037
5 O 0.963 0.287 0.096
6 O 0.287 0.096 0.963
7 O 0.213 0.537 0.404
8 O 0.404 0.213 0.537
9 O 0.596 0.787 0.463
10 O 0.904 0.037 0.713
11 O 0.096 0.963 0.287
12 O 0.537 0.404 0.213
13 Sr 0.386 0.750 0.114
14 Sr 0.614 0.250 0.886
15 Sr 0.250 0.886 0.614
16 Sr 0.114 0.386 0.750
17 Sr 0.886 0.614 0.250
18 Sr 0.750 0.114 0.386
19 Ir 0.000 0.000 0.000
20 Ir 0.500 0.500 0.500
21 Mg 0.750 0.750 0.750
22 Mg 0.250 0.250 0.250

The total energy is -6.38 eV/atom. As for the symmetry: No. 167.

(3)
Material: Pr11Hg45
Method: DFT, PBE
State: optimized geometry

Lattice parameters (Å, degrees): 15.874 15.874 15.874 60.00 60.00 60.00
Element x y z (fractional)
1 Hg 0.139 0.512 0.837
2 Hg 0.828 0.828 0.516
3 Hg 0.868 0.258 0.615
4 Hg 0.915 0.256 0.915
5 Hg 0.162 0.162 0.513
6 Hg 0.912 0.588 0.912
7 Hg 0.615 0.258 0.258
8 Hg 0.642 0.642 0.266
9 Hg 0.588 0.912 0.912
10 Hg 0.837 0.512 0.139
11 Hg 0.154 0.154 0.846
12 Hg 0.017 0.392 0.200
13 Hg 0.258 0.868 0.615
14 Hg 0.083 0.083 0.751
15 Hg 0.750 0.750 0.750
16 Hg 0.512 0.837 0.512
17 Hg 0.615 0.868 0.258
18 Hg 0.765 0.066 0.765
19 Hg 0.392 0.017 0.200
20 Hg 0.912 0.912 0.588
21 Hg 0.642 0.450 0.266
22 Hg 0.266 0.642 0.642
23 Hg 0.405 0.066 0.765
24 Hg 0.266 0.642 0.450
25 Hg 0.512 0.139 0.837
26 Hg 0.642 0.266 0.450
27 Hg 0.392 0.392 0.017
28 Hg 0.846 0.154 0.154
29 Hg 0.392 0.017 0.392
30 Hg 0.258 0.868 0.258
31 Hg 0.392 0.392 0.200
32 Hg 0.615 0.258 0.868
33 Hg 0.516 0.828 0.828
34 Hg 0.405 0.765 0.066
35 Hg 0.405 0.765 0.765
36 Hg 0.846 0.846 0.154
37 Hg 0.258 0.258 0.615
38 Hg 0.392 0.200 0.392
39 Hg 0.258 0.258 0.868
40 Hg 0.915 0.915 0.915
41 Hg 0.512 0.512 0.837
42 Hg 0.500 0.500 0.500
43 Hg 0.154 0.846 0.846
44 Hg 0.588 0.588 0.912
45 Hg 0.512 0.139 0.512
46 Hg 0.066 0.405 0.765
47 Hg 0.256 0.915 0.915
48 Hg 0.765 0.405 0.765
49 Hg 0.765 0.405 0.066
50 Hg 0.258 0.615 0.258
51 Hg 0.642 0.450 0.642
52 Hg 0.450 0.266 0.642
53 Hg 0.765 0.765 0.405
54 Hg 0.642 0.642 0.450
55 Hg 0.828 0.516 0.828
56 Hg 0.017 0.392 0.392
57 Hg 0.162 0.513 0.162
58 Hg 0.200 0.392 0.017
59 Hg 0.828 0.828 0.828
60 Hg 0.512 0.837 0.139
61 Hg 0.450 0.642 0.266
62 Hg 0.139 0.512 0.512
63 Hg 0.765 0.765 0.066
64 Hg 0.846 0.154 0.846
65 Hg 0.868 0.615 0.258
66 Hg 0.200 0.392 0.392
67 Hg 0.915 0.915 0.256
68 Hg 0.266 0.450 0.642
69 Hg 0.912 0.588 0.588
70 Hg 0.512 0.512 0.139
71 Hg 0.083 0.751 0.083
72 Hg 0.258 0.615 0.868
73 Hg 0.154 0.846 0.154
74 Hg 0.392 0.200 0.017
75 Hg 0.642 0.266 0.642
76 Hg 0.162 0.162 0.162
77 Hg 0.513 0.162 0.162
78 Hg 0.017 0.200 0.392
79 Hg 0.588 0.912 0.588
80 Hg 0.837 0.139 0.512
81 Hg 0.083 0.083 0.083
82 Hg 0.450 0.642 0.642
83 Hg 0.066 0.765 0.405
84 Hg 0.837 0.512 0.512
85 Hg 0.751 0.083 0.083
86 Hg 0.139 0.837 0.512
87 Hg 0.066 0.765 0.765
88 Hg 0.868 0.258 0.258
89 Hg 0.765 0.066 0.405
90 Hg 0.200 0.017 0.392
91 Pr 0.406 0.783 0.406
92 Pr 0.783 0.406 0.406
93 Pr 0.406 0.406 0.406
94 Pr 0.015 0.662 0.662
95 Pr 0.329 0.016 0.639
96 Pr 0.662 0.015 0.662
97 Pr 0.016 0.329 0.016
98 Pr 0.016 0.639 0.016
99 Pr 0.016 0.016 0.639
100 Pr 0.329 0.639 0.016
101 Pr 0.662 0.662 0.015
102 Pr 0.016 0.016 0.329
103 Pr 0.250 0.250 0.250
104 Pr 0.329 0.016 0.016
105 Pr 0.406 0.406 0.783
106 Pr 0.639 0.329 0.016
107 Pr 0.016 0.639 0.329
108 Pr 0.639 0.016 0.016
109 Pr 0.000 0.000 0.000
110 Pr 0.016 0.329 0.639
111 Pr 0.639 0.016 0.329
112 Pr 0.662 0.662 0.662

The total energy is -1.47 eV/atom. As for the symmetry: No. 216. The value obtained for the magnetic moment is 0.170 μB/f.u.

(4)
Material: U2TlSe6
Method: DFT, PBE
State: optimized geometry

Lattice parameters (Å, degrees): 11.557 11.557 11.557 159.78 152.37 34.47
Element x y z (fractional)
1 Se 0.148 0.394 0.754
2 Se 0.226 0.226 0.000
3 Se 0.641 0.394 0.246
4 Se 0.774 0.774 0.000
5 Se 0.852 0.606 0.246
6 Se 0.359 0.606 0.754
7 U 0.680 0.180 0.500
8 U 0.320 0.820 0.500
9 Tl 0.000 0.000 0.000

The total energy is -6.02 eV/atom. As for the symmetry: No. 71.

(5)
Material: VCu3Te3Se
Method: DFT, PBE
State: optimized geometry

Lattice parameters (Å, degrees): 5.839 5.839 5.839 89.63 89.63 89.63
Element x y z (fractional)
1 Te 0.747 0.257 0.747
2 Te 0.747 0.747 0.257
3 Te 0.257 0.747 0.747
4 Cu 0.007 0.495 0.007
5 Cu 0.007 0.007 0.495
6 Cu 0.495 0.007 0.007
7 Se 0.236 0.236 0.236
8 V 0.003 0.003 0.003

The total energy is -4.59 eV/atom. As for the symmetry: No. 160.

(6)
Material: K2AlHgCl6
Method: DFT, PBE
State: optimized geometry

Lattice parameters (Å, degrees): 7.402 7.402 7.402 60.00 60.00 60.00
Element x y z (fractional)
1 Cl 0.225 0.225 0.775
2 Cl 0.775 0.775 0.225
3 Cl 0.775 0.225 0.775
4 Cl 0.225 0.775 0.225
5 Cl 0.225 0.775 0.775
6 Cl 0.775 0.225 0.225
7 K 0.750 0.750 0.750
8 K 0.250 0.250 0.250
9 Al 0.000 0.000 0.000
10 Hg 0.500 0.500 0.500

The total energy is -3.13 eV/atom. As for the symmetry: No. 225. The value obtained for the magnetic moment is 0.017 μB/f.u.

no.,density (g/cm³)
1,7.39
2,6.23
3,12.42
4,7.76
5,5.87
6,3.00